# 1
# ErB2Rh3 meta-GGA r2SCAN optimized geometry
# **Total magnetic moment**: 0.0 μB/f.u.
# **Energy**: -125.753 eV per formula unit
# **ΔH_f (0 K)**: -0.788 eV per atom
data_ErB2Rh3
_cell_length_a 5.3485
_cell_length_b 5.3485
_cell_length_c 3.1426
_cell_angle_alpha 90.00
_cell_angle_beta 90.00
_cell_angle_gamma 120.00
_symmetry_space_group_name_H-M 'P 6/m m m'
_symmetry_Int_Tables_number 191
_symmetry_space_group_name_Hall '-P 6 2'
loop_
_atom_site_label
_atom_site_type_symbol
_atom_site_fract_x
_atom_site_fract_y
_atom_site_fract_z
Er1 Er 0.0000 0.0000 0.0000
B1 B 0.3333 0.6667 0.0000
Rh1 Rh 0.0000 0.5000 0.5000

# 2
# DyLuMg2 meta-GGA r2SCAN optimized geometry
# **Total magnetic moment**: 0.0 μB/f.u.
# **Energy**: -78.713 eV per formula unit
# **ΔH_f (0 K)**: -0.078 eV per atom
data_DyLuMg2
_cell_length_a 7.499
_cell_length_b 7.499
_cell_length_c 7.499
_cell_angle_alpha 90.00
_cell_angle_beta 90.00
_cell_angle_gamma 90.00
_symmetry_space_group_name_H-M 'F m -3 m'
_symmetry_Int_Tables_number 225
_symmetry_space_group_name_Hall '-F 4 2 3'
loop_
_atom_site_label
_atom_site_type_symbol
_atom_site_fract_x
_atom_site_fract_y
_atom_site_fract_z
Dy1 Dy 0.000 0.000 0.000
Lu1 Lu 0.000 0.000 0.500
Mg1 Mg 0.250 0.250 0.250

# 3
# CeCrSe3 meta-GGA r2SCAN optimized geometry
# **Total magnetic moment**: 4.0 μB/f.u.
# **Energy**: -96.467 eV per formula unit
# **ΔH_f (0 K)**: -1.524 eV per atom
data_CeCrSe3
_cell_length_a 8.214
_cell_length_b 3.954
_cell_length_c 13.732
_cell_angle_alpha 90.00
_cell_angle_beta 90.00
_cell_angle_gamma 90.00
_symmetry_space_group_name_H-M 'P n m a'
_symmetry_Int_Tables_number 62
loop_
_symmetry_equiv_pos_as_xyz
'x,y,z'
'-x,-y,-z'
'-x+1/2,-y,z+1/2'
'x+1/2,y,-z+1/2'
'x+1/2,-y+1/2,-z+1/2'
'-x+1/2,y+1/2,z+1/2'
'-x,y+1/2,-z'
'x,-y+1/2,z'
loop_
_atom_site_label
_atom_site_type_symbol
_atom_site_fract_x
_atom_site_fract_y
_atom_site_fract_z
Ce1 Ce 0.091 0.250 0.172
Cr1 Cr 0.161 0.750 0.448
Se1 Se 0.014 0.750 0.608
Se2 Se 0.159 0.750 0.005
Se3 Se 0.192 0.250 0.788

# 4
# K3BiTe3 meta-GGA r2SCAN optimized geometry
# **Total magnetic moment**: 0.0 μB/f.u.
# **Energy**: -159.519 eV per formula unit
# **ΔH_f (0 K)**: -0.959 eV per atom
data_K3BiTe3
_cell_length_a 10.427
_cell_length_b 10.427
_cell_length_c 10.427
_cell_angle_alpha 90.00
_cell_angle_beta 90.00
_cell_angle_gamma 90.00
_symmetry_space_group_name_H-M 'P 21 3'
_symmetry_Int_Tables_number 198
_symmetry_space_group_name_Hall 'P 2ac 2ab 3'
loop_
_atom_site_label
_atom_site_type_symbol
_atom_site_fract_x
_atom_site_fract_y
_atom_site_fract_z
K1 K 0.075 0.075 0.075
K2 K 0.174 0.326 0.674
K3 K 0.182 0.682 0.818
Bi1 Bi 0.036 0.964 0.464
Te1 Te 0.000 0.228 0.383